{"formula": "Li7Nb8O24", "functional": "PBE-GGA", "state": "optimized geometry", "cell": [[7.652, 0.000, 0.000], [-3.240, 8.703, 0.000], [-3.634, -1.355, 13.391]], "species": ["Li", "Li", "Li", "Li", "Li", "Li", "Li", "Li", "Li", "Li", "Li", "Li", "Li", "Li", "Nb", "Nb", "Nb", "Nb", "Nb", "Nb", "Nb", "Nb", "Nb", "Nb", "Nb", "Nb", "Nb", "Nb", "Nb", "Nb", "O", "O", "O", "O", "O", "O", "O", "O", "O", "O", "O", "O", "O", "O", "O", "O", "O", "O", "O", "O", "O", "O", "O", "O", "O", "O", "O", "O", "O", "O", "O", "O", "O", "O", "O", "O", "O", "O", "O", "O", "O", "O", "O", "O", "O", "O", "O", "O"], "frac_coords": [[0.000, 0.250, 0.249], [0.000, 0.750, 0.751], [0.124, 0.125, 0.625], [0.125, 0.625, 0.125], [0.249, 0.999, 0.999], [0.250, 0.500, 0.499], [0.374, 0.874, 0.376], [0.375, 0.373, 0.875], [0.625, 0.627, 0.125], [0.626, 0.126, 0.624], [0.750, 0.500, 0.501], [0.751, 0.001, 0.001], [0.875, 0.375, 0.875], [0.876, 0.875, 0.375], [0.058, 0.434, 0.687], [0.059, 0.937, 0.185], [0.185, 0.811, 0.565], [0.190, 0.312, 0.065], [0.310, 0.188, 0.435], [0.312, 0.684, 0.936], [0.444, 0.060, 0.812], [0.446, 0.563, 0.313], [0.554, 0.437, 0.687], [0.556, 0.940, 0.188], [0.688, 0.316, 0.064], [0.690, 0.812, 0.565], [0.810, 0.688, 0.935], [0.815, 0.189, 0.435], [0.941, 0.063, 0.815], [0.942, 0.566, 0.313], [0.016, 0.233, 0.921], [0.030, 0.221, 0.720], [0.048, 0.703, 0.894], [0.078, 0.173, 0.484], [0.092, 0.655, 0.654], [0.104, 0.641, 0.452], [0.139, 0.105, 0.298], [0.151, 0.093, 0.093], [0.172, 0.579, 0.270], [0.201, 0.051, 0.856], [0.218, 0.529, 0.029], [0.231, 0.515, 0.828], [0.267, 0.982, 0.672], [0.274, 0.969, 0.469], [0.296, 0.450, 0.641], [0.327, 0.918, 0.233], [0.345, 0.404, 0.405], [0.348, 0.399, 0.200], [0.391, 0.854, 0.050], [0.400, 0.852, 0.851], [0.422, 0.327, 0.018], [0.450, 0.802, 0.598], [0.468, 0.281, 0.779], [0.481, 0.267, 0.578], [0.519, 0.733, 0.422], [0.532, 0.719, 0.221], [0.550, 0.198, 0.402], [0.578, 0.673, 0.982], [0.600, 0.148, 0.149], [0.609, 0.146, 0.950], [0.652, 0.601, 0.800], [0.655, 0.596, 0.595], [0.673, 0.082, 0.767], [0.704, 0.550, 0.359], [0.726, 0.031, 0.531], [0.733, 0.018, 0.328], [0.769, 0.485, 0.172], [0.782, 0.471, 0.971], [0.799, 0.949, 0.144], [0.828, 0.421, 0.730], [0.849, 0.907, 0.907], [0.861, 0.895, 0.702], [0.896, 0.359, 0.548], [0.908, 0.345, 0.346], [0.922, 0.827, 0.516], [0.952, 0.297, 0.106], [0.970, 0.779, 0.280], [0.984, 0.767, 0.079]], "magnetic_moment_mub_per_fu": 1.00, "energy_mp2020_ev_per_atom": -8.28, "total_energy_ev_per_atom": -7.86, "delta_e_f_ev_per_atom": -2.82}

{"formula": "Te2MoW3S6", "functional": "PBE-GGA", "state": "optimized geometry", "cell": [[3.268, 0.000, 0.000], [-1.634, 2.830, 0.000], [0.000, 0.000, 37.237]], "species": ["Te", "Te", "Mo", "W", "W", "W", "S", "S", "S", "S", "S", "S"], "frac_coords": [[0.000, 0.000, 0.000], [0.000, 0.000, 0.104], [0.333, 0.667, 0.052], [0.000, 0.000, 0.240], [0.000, 0.000, 0.864], [0.333, 0.667, 0.427], [0.000, 0.000, 0.386], [0.000, 0.000, 0.469], [0.333, 0.667, 0.198], [0.333, 0.667, 0.281], [0.333, 0.667, 0.822], [0.333, 0.667, 0.905]], "magnetic_moment_mub_per_fu": 0.00, "energy_mp2020_ev_per_atom": -7.61, "total_energy_ev_per_atom": -7.36, "delta_e_f_ev_per_atom": -0.87}

{"formula": "TiPbO3", "functional": "PBE-GGA", "state": "optimized geometry", "cell": [[3.969, 0.000, 0.000], [0.000, 3.969, 0.000], [0.000, 0.000, 3.969]], "species": ["Ti", "Pb", "O", "O", "O"], "frac_coords": [[0.000, 0.000, 0.000], [0.500, 0.500, 0.500], [0.000, 0.000, 0.500], [0.000, 0.500, 0.000], [0.500, 0.000, 0.000]], "magnetic_moment_mub_per_fu": 0.00, "energy_mp2020_ev_per_atom": -7.98, "total_energy_ev_per_atom": -7.57, "delta_e_f_ev_per_atom": -2.69}

{"formula": "Li2BiBO4", "functional": "PBE-GGA", "state": "optimized geometry", "cell": [[7.188, 0.000, 0.000], [0.000, 5.025, 0.000], [-0.253, 0.000, 11.117]], "species": ["Li", "Li", "Li", "Li", "Li", "Li", "Li", "Li", "Bi", "Bi", "Bi", "Bi", "B", "B", "B", "B", "O", "O", "O", "O", "O", "O", "O", "O", "O", "O", "O", "O", "O", "O", "O", "O"], "frac_coords": [[0.085, 0.152, 0.201], [0.085, 0.348, 0.701], [0.188, 0.219, 0.928], [0.188, 0.281, 0.428], [0.812, 0.719, 0.572], [0.812, 0.781, 0.072], [0.915, 0.652, 0.299], [0.915, 0.848, 0.799], [0.497, 0.735, 0.868], [0.497, 0.765, 0.368], [0.503, 0.235, 0.632], [0.503, 0.265, 0.132], [0.174, 0.707, 0.082], [0.174, 0.793, 0.582], [0.826, 0.207, 0.418], [0.826, 0.293, 0.918], [0.044, 0.718, 0.665], [0.044, 0.782, 0.165], [0.226, 0.066, 0.577], [0.226, 0.434, 0.077], [0.250, 0.614, 0.503], [0.250, 0.886, 0.003], [0.385, 0.150, 0.310], [0.385, 0.350, 0.810], [0.615, 0.650, 0.190], [0.615, 0.850, 0.690], [0.750, 0.114, 0.997], [0.750, 0.386, 0.497], [0.774, 0.566, 0.923], [0.774, 0.934, 0.423], [0.956, 0.218, 0.835], [0.956, 0.282, 0.335]], "magnetic_moment_mub_per_fu": 0.00, "energy_mp2020_ev_per_atom": -6.53, "total_energy_ev_per_atom": -6.19, "delta_e_f_ev_per_atom": -2.26}

{"formula": "Tc3Pd", "functional": "PBE-GGA", "state": "optimized geometry", "cell": [[2.742, 0.000, 0.000], [-1.371, 2.375, 0.000], [0.000, 0.000, 27.219]], "species": ["Tc", "Tc", "Tc", "Tc", "Tc", "Tc", "Tc", "Tc", "Tc", "Pd", "Pd", "Pd"], "frac_coords": [[0.000, 0.000, 0.000], [0.000, 0.000, 0.252], [0.000, 0.000, 0.748], [0.333, 0.667, 0.415], [0.333, 0.667, 0.667], [0.333, 0.667, 0.919], [0.667, 0.333, 0.081], [0.667, 0.333, 0.333], [0.667, 0.333, 0.585], [0.000, 0.000, 0.500], [0.333, 0.667, 0.167], [0.667, 0.333, 0.833]], "magnetic_moment_mub_per_fu": 0.03, "total_energy_ev_per_atom": -9.00, "delta_e_f_ev_per_atom": 0.06}

{"formula": "Zn2OsN3", "functional": "PBE-GGA", "state": "optimized geometry", "cell": [[4.987, -2.808, 0.000], [4.987, 2.808, 0.000], [0.000, 0.000, 5.382]], "species": ["Zn", "Zn", "Zn", "Zn", "Os", "Os", "N", "N", "N", "N", "N", "N"], "frac_coords": [[0.017, 0.321, 0.000], [0.321, 0.017, 0.500], [0.679, 0.983, 0.000], [0.983, 0.679, 0.500], [0.346, 0.654, 0.981], [0.654, 0.346, 0.481], [0.031, 0.650, 0.877], [0.336, 0.664, 0.343], [0.350, 0.969, 0.877], [0.650, 0.031, 0.377], [0.664, 0.336, 0.843], [0.969, 0.350, 0.377]], "magnetic_moment_mub_per_fu": 0.00, "energy_mp2020_ev_per_atom": -6.35, "total_energy_ev_per_atom": -6.17, "delta_e_f_ev_per_atom": 0.11}

{"formula": "Li3U7As5O35", "functional": "PBE-GGA", "state": "optimized geometry", "cell": [[7.326, 0.000, 0.000], [0.000, 7.391, 0.000], [0.000, 0.000, 14.889]], "species": ["Li", "Li", "Li", "U", "U", "U", "U", "U", "U", "U", "As", "As", "As", "As", "As", "O", "O", "O", "O", "O", "O", "O", "O", "O", "O", "O", "O", "O", "O", "O", "O", "O", "O", "O", "O", "O", "O", "O", "O", "O", "O", "O", "O", "O", "O", "O", "O", "O", "O", "O"], "frac_coords": [[0.000, 0.000, 0.000], [0.000, 0.500, 0.443], [0.500, 0.500, 0.275], [0.000, 0.000, 0.423], [0.000, 0.000, 0.708], [0.000, 0.500, 0.143], [0.500, 0.000, 0.284], [0.500, 0.000, 0.997], [0.500, 0.500, 0.571], [0.500, 0.500, 0.860], [0.000, 0.000, 0.199], [0.000, 0.500, 0.642], [0.500, 0.000, 0.511], [0.500, 0.000, 0.773], [0.500, 0.500, 0.083], [0.000, 0.000, 0.577], [0.000, 0.000, 0.830], [0.000, 0.184, 0.130], [0.000, 0.246, 0.422], [0.000, 0.306, 0.704], [0.000, 0.500, 0.023], [0.000, 0.500, 0.266], [0.000, 0.694, 0.704], [0.000, 0.754, 0.422], [0.000, 0.816, 0.130], [0.174, 0.000, 0.277], [0.186, 0.500, 0.569], [0.252, 0.000, 0.993], [0.256, 0.500, 0.859], [0.306, 0.000, 0.709], [0.316, 0.500, 0.154], [0.320, 0.000, 0.435], [0.500, 0.000, 0.142], [0.500, 0.177, 0.848], [0.500, 0.195, 0.571], [0.500, 0.247, 0.290], [0.500, 0.324, 0.007], [0.500, 0.500, 0.449], [0.500, 0.500, 0.698], [0.500, 0.676, 0.007], [0.500, 0.753, 0.290], [0.500, 0.805, 0.571], [0.500, 0.823, 0.848], [0.680, 0.000, 0.435], [0.684, 0.500, 0.154], [0.694, 0.000, 0.709], [0.744, 0.500, 0.859], [0.748, 0.000, 0.993], [0.814, 0.500, 0.569], [0.826, 0.000, 0.277]], "magnetic_moment_mub_per_fu": 0.00, "energy_mp2020_ev_per_atom": -8.46, "total_energy_ev_per_atom": -7.98, "delta_e_f_ev_per_atom": -2.84}

{"formula": "RuCN2", "functional": "PBE-GGA", "state": "optimized geometry", "cell": [[3.046, 0.000, 0.000], [-1.523, 2.638, 0.000], [0.000, 0.000, 10.039]], "species": ["Ru", "Ru", "C", "C", "N", "N", "N", "N"], "frac_coords": [[0.000, 0.000, 0.000], [0.000, 0.000, 0.500], [0.333, 0.667, 0.250], [0.667, 0.333, 0.750], [0.333, 0.667, 0.126], [0.333, 0.667, 0.374], [0.667, 0.333, 0.626], [0.667, 0.333, 0.874]], "magnetic_moment_mub_per_fu": 0.31, "energy_mp2020_ev_per_atom": -8.44, "total_energy_ev_per_atom": -8.26, "delta_e_f_ev_per_atom": 0.35}

{"formula": "KSr2Si4O10F", "functional": "PBE-GGA", "state": "optimized geometry", "cell": [[11.620, 0.000, 0.000], [0.000, 8.610, 0.000], [-7.177, 0.000, 10.868]], "species": ["K", "K", "K", "K", "Sr", "Sr", "Sr", "Sr", "Sr", "Sr", "Sr", "Sr", "Si", "Si", "Si", "Si", "Si", "Si", "Si", "Si", "Si", "Si", "Si", "Si", "Si", "Si", "Si", "Si", "O", "O", "O", "O", "O", "O", "O", "O", "O", "O", "O", "O", "O", "O", "O", "O", "O", "O", "O", "O", "O", "O", "O", "O", "O", "O", "O", "O", "O", "O", "O", "O", "O", "O", "O", "O", "O", "O", "O", "O", "F", "F", "F", "F"], "frac_coords": [[0.108, 0.217, 0.074], [0.108, 0.283, 0.574], [0.892, 0.717, 0.426], [0.892, 0.783, 0.926], [0.417, 0.217, 0.960], [0.417, 0.283, 0.460], [0.433, 0.019, 0.721], [0.433, 0.481, 0.221], [0.567, 0.519, 0.779], [0.567, 0.981, 0.279], [0.583, 0.717, 0.540], [0.583, 0.783, 0.040], [0.124, 0.534, 0.243], [0.124, 0.966, 0.743], [0.191, 0.526, 0.915], [0.191, 0.974, 0.415], [0.247, 0.659, 0.731], [0.247, 0.841, 0.231], [0.255, 0.624, 0.504], [0.255, 0.876, 0.004], [0.745, 0.124, 0.996], [0.745, 0.376, 0.496], [0.753, 0.159, 0.769], [0.753, 0.341, 0.269], [0.809, 0.026, 0.585], [0.809, 0.474, 0.085], [0.876, 0.034, 0.257], [0.876, 0.466, 0.757], [0.026, 0.542, 0.860], [0.026, 0.958, 0.360], [0.125, 0.562, 0.369], [0.125, 0.938, 0.869], [0.127, 0.706, 0.189], [0.127, 0.794, 0.689], [0.203, 0.583, 0.596], [0.203, 0.917, 0.096], [0.212, 0.522, 0.799], [0.212, 0.978, 0.299], [0.247, 0.075, 0.764], [0.247, 0.425, 0.264], [0.266, 0.121, 0.503], [0.266, 0.379, 0.003], [0.266, 0.685, 0.998], [0.266, 0.815, 0.498], [0.399, 0.543, 0.547], [0.399, 0.957, 0.047], [0.403, 0.718, 0.811], [0.403, 0.782, 0.311], [0.597, 0.218, 0.689], [0.597, 0.282, 0.189], [0.601, 0.043, 0.953], [0.601, 0.457, 0.453], [0.734, 0.185, 0.502], [0.734, 0.315, 0.002], [0.734, 0.621, 0.997], [0.734, 0.879, 0.497], [0.753, 0.575, 0.736], [0.753, 0.925, 0.236], [0.788, 0.022, 0.701], [0.788, 0.478, 0.201], [0.797, 0.083, 0.904], [0.797, 0.417, 0.404], [0.873, 0.206, 0.311], [0.873, 0.294, 0.811], [0.875, 0.062, 0.131], [0.875, 0.438, 0.631], [0.974, 0.042, 0.640], [0.974, 0.458, 0.140], [0.427, 0.183, 0.289], [0.427, 0.317, 0.789], [0.573, 0.683, 0.211], [0.573, 0.817, 0.711]], "magnetic_moment_mub_per_fu": 0.00, "energy_mp2020_ev_per_atom": -7.65, "total_energy_ev_per_atom": -7.25, "delta_e_f_ev_per_atom": -3.34}

{"formula": "Sr3Mn2N4", "functional": "PBE-GGA", "state": "optimized geometry", "cell": [[5.643, -4.321, 0.000], [5.643, 4.321, 0.000], [-0.429, 0.000, 5.551]], "species": ["Sr", "Sr", "Sr", "Sr", "Sr", "Sr", "Mn", "Mn", "Mn", "Mn", "N", "N", "N", "N", "N", "N", "N", "N"], "frac_coords": [[0.098, 0.902, 0.750], [0.243, 0.509, 0.448], [0.491, 0.757, 0.052], [0.509, 0.243, 0.948], [0.757, 0.491, 0.552], [0.902, 0.098, 0.250], [0.082, 0.335, 0.926], [0.335, 0.082, 0.426], [0.665, 0.918, 0.574], [0.918, 0.665, 0.074], [0.128, 0.229, 0.612], [0.185, 0.558, 0.975], [0.229, 0.128, 0.112], [0.442, 0.815, 0.525], [0.558, 0.185, 0.475], [0.771, 0.872, 0.888], [0.815, 0.442, 0.025], [0.872, 0.771, 0.388]], "magnetic_moment_mub_per_fu": 2.04, "energy_mp2020_ev_per_atom": -6.99, "total_energy_ev_per_atom": -6.83, "delta_e_f_ev_per_atom": -0.69}

{"formula": "USiIr", "functional": "PBE-GGA", "state": "optimized geometry", "cell": [[6.743, 0.000, 0.000], [0.000, 4.262, 0.000], [0.000, 0.000, 7.485]], "species": ["U", "U", "U", "U", "Si", "Si", "Si", "Si", "Ir", "Ir", "Ir", "Ir"], "frac_coords": [[0.008, 0.250, 0.203], [0.492, 0.750, 0.703], [0.508, 0.250, 0.297], [0.992, 0.750, 0.797], [0.184, 0.250, 0.586], [0.316, 0.750, 0.086], [0.684, 0.250, 0.914], [0.816, 0.750, 0.414], [0.217, 0.750, 0.414], [0.283, 0.250, 0.914], [0.717, 0.750, 0.086], [0.783, 0.250, 0.586]], "total_energy_ev_per_atom": -9.22, "delta_e_f_ev_per_atom": -0.70}